1.
Ce2In8Ir: optimized geometry, PBE.

Lattice parameters (Å, degrees): 4.757 4.757 12.440 90.00 90.00 90.00
Sites, in units of the cell vectors:
Ce 0.000 0.000 0.197
Ce 0.000 0.000 0.803
In 0.000 0.500 0.000
In 0.000 0.500 0.379
In 0.000 0.500 0.621
In 0.500 0.000 0.000
In 0.500 0.000 0.379
In 0.500 0.000 0.621
In 0.500 0.500 0.193
In 0.500 0.500 0.807
Ir 0.000 0.000 0.500

Its space group is P4/mmm (123). Its total energy is -0.1568 Ha/atom. For the magnetization, the calculation gives 0.14 μB/atom. Its formation enthalpy at 0 K is -0.38 eV per atom. The theoretical density is 8.204 g/cm3.

---

2.
LaCeIn6: optimized geometry, PBE.

Lattice parameters (Å, degrees): 4.743 4.743 9.541 90.00 90.00 90.00
Sites, in units of the cell vectors:
La 0.000 0.000 0.000
Ce 0.000 0.000 0.500
In 0.000 0.500 0.252
In 0.000 0.500 0.748
In 0.500 0.000 0.252
In 0.500 0.000 0.748
In 0.500 0.500 0.000
In 0.500 0.500 0.500

Its space group is P4/mmm (123). Its total energy is -0.1420 Ha/atom. Its formation enthalpy at 0 K is -0.44 eV per atom. The theoretical density is 7.488 g/cm3.

---

3.
Ce2MgIn: optimized geometry, PBE.

Lattice parameters (Å, degrees): 7.596 7.596 7.596 90.00 90.00 90.00
Sites, in units of the cell vectors:
Ce 0.250 0.250 0.250
Ce 0.250 0.250 0.750
Ce 0.250 0.750 0.250
Ce 0.250 0.750 0.750
Ce 0.750 0.250 0.250
Ce 0.750 0.250 0.750
Ce 0.750 0.750 0.250
Ce 0.750 0.750 0.750
Mg 0.000 0.000 0.000
Mg 0.000 0.500 0.500
Mg 0.500 0.000 0.500
Mg 0.500 0.500 0.000
In 0.000 0.000 0.500
In 0.000 0.500 0.000
In 0.500 0.000 0.000
In 0.500 0.500 0.500

Its space group is Fm-3m (225). Its total energy is -0.1535 Ha/atom. For the magnetization, the calculation gives 0.39 μB/atom. Its formation enthalpy at 0 K is -0.12 eV per atom. The theoretical density is 6.355 g/cm3.

---

Look up the theoretical density of the first one. 8.204 g/cm3